Zn4IrN4: optimized geometry, PBE-GGA.

Structure (CIF):
```
data_Zn4IrN4
_chemical_formula_sum 'Zn8 Ir2 N8'
_space_group_name_H-M_alt 'P -1'
_space_group_IT_number 2
_cell_length_a 5.5510
_cell_length_b 5.7920
_cell_length_c 7.9819
_cell_angle_alpha 78.38
_cell_angle_beta 78.29
_cell_angle_gamma 67.00
loop_
_space_group_symop_operation_xyz
'x,y,z'
'-x,-y,-z'
loop_
_atom_site_label
_atom_site_type_symbol
_atom_site_fract_x
_atom_site_fract_y
_atom_site_fract_z
Zn1 Zn 0.1294 0.1826 0.4000
Zn2 Zn 0.2373 0.2598 0.9974
Zn3 Zn 0.3136 0.8831 0.7444
Zn4 Zn 0.3455 0.4148 0.6337
Ir1 Ir 0.2506 0.6714 0.1890
N1 N 0.0025 0.4918 0.1910
N2 N 0.0187 0.9053 0.3464
N3 N 0.3460 0.8690 0.9910
N4 N 0.3907 0.3607 0.3859
```

=====

Nd3Ga10Ni: optimized geometry, PBE-GGA.

Structure (CIF):
```
data_Nd3Ga10Ni
_chemical_formula_sum 'Nd3 Ga10 Ni1'
_space_group_name_H-M_alt 'P m m m'
_space_group_IT_number 47
_cell_length_a 4.2570
_cell_length_b 4.2848
_cell_length_c 15.3875
_cell_angle_alpha 90.00
_cell_angle_beta 90.00
_cell_angle_gamma 90.00
loop_
_space_group_symop_operation_xyz
'x,y,z'
'-x,-y,-z'
'-x,-y,z'
'x,y,-z'
'x,-y,-z'
'-x,y,z'
'-x,y,-z'
'x,-y,z'
loop_
_atom_site_label
_atom_site_type_symbol
_atom_site_fract_x
_atom_site_fract_y
_atom_site_fract_z
Nd1 Nd 0.0000 0.0000 0.0000
Nd2 Nd 0.0000 0.5000 0.2546
Ga1 Ga 0.0000 0.0000 0.4159
Ga2 Ga 0.5000 0.0000 0.1584
Ga3 Ga 0.5000 0.0000 0.3154
Ga4 Ga 0.5000 0.5000 0.0796
Ga5 Ga 0.5000 0.5000 0.4154
Ni1 Ni 0.0000 0.5000 0.5000
```

=====

What are the E_form values for these records? In order: 0.26, -0.55 eV/atom.